[1]
Density functional theory data (PBE-GGA) for ZnS after structural relaxation.

a = 3.8537 Å, b = 3.8537 Å, c = 62.9873 Å
α = 90.00°, β = 90.00°, γ = 120.00°
Space group P3m1 (No. 156)
Unique sites:
Zn 0.0000 0.0000 0.0000 x1
Zn 0.0000 0.0000 0.1000 x1
Zn 0.0000 0.0000 0.2500 x1
Zn 0.0000 0.0000 0.3500 x1
Zn 0.0000 0.0000 0.5000 x1
Zn 0.0000 0.0000 0.6500 x1
Zn 0.0000 0.0000 0.8000 x1
Zn 0.3333 0.6667 0.0500 x1
Zn 0.3333 0.6667 0.2000 x1
Zn 0.3333 0.6667 0.4000 x1
Zn 0.3333 0.6667 0.5500 x1
Zn 0.3333 0.6667 0.7500 x1
Zn 0.3333 0.6667 0.9000 x1
Zn 0.6667 0.3333 0.1500 x1
Zn 0.6667 0.3333 0.3000 x1
Zn 0.6667 0.3333 0.4500 x1
Zn 0.6667 0.3333 0.6000 x1
Zn 0.6667 0.3333 0.7000 x1
Zn 0.6667 0.3333 0.8500 x1
Zn 0.6667 0.3333 0.9500 x1
S 0.0000 0.0000 0.0375 x1
S 0.0000 0.0000 0.1375 x1
S 0.0000 0.0000 0.2875 x1
S 0.0000 0.0000 0.3875 x1
S 0.0000 0.0000 0.5375 x1
S 0.0000 0.0000 0.6875 x1
S 0.0000 0.0000 0.8375 x1
S 0.3333 0.6667 0.0875 x1
S 0.3333 0.6667 0.2375 x1
S 0.3333 0.6667 0.4375 x1
S 0.3333 0.6667 0.5875 x1
S 0.3333 0.6667 0.7875 x1
S 0.3333 0.6667 0.9375 x1
S 0.6667 0.3333 0.1875 x1
S 0.6667 0.3333 0.3375 x1
S 0.6667 0.3333 0.4875 x1
S 0.6667 0.3333 0.6375 x1
S 0.6667 0.3333 0.7375 x1
S 0.6667 0.3333 0.8875 x1
S 0.6667 0.3333 0.9875 x1



[2]
Density functional theory data (PBE-GGA) for ZnS after structural relaxation.

a = 13.2687 Å, b = 13.2726 Å, c = 13.4933 Å
α = 92.59°, β = 91.25°, γ = 91.78°
Space group P1 (No. 1)
Unique sites:
Zn 0.0000 0.0000 0.0000 x1
Zn 0.0007 0.1529 0.4877 x1
Zn 0.0350 0.3999 0.5334 x1
Zn 0.0361 0.9659 0.2440 x1
Zn 0.0603 0.6536 0.1598 x1
Zn 0.0619 0.3660 0.7960 x1
Zn 0.0765 0.7034 0.6519 x1
Zn 0.0777 0.3574 0.2471 x1
Zn 0.1336 0.7481 0.8456 x1
Zn 0.1375 0.2455 0.0404 x1
Zn 0.1452 0.8982 0.4849 x1
Zn 0.1630 0.5853 0.4252 x1
Zn 0.1652 0.8736 0.0327 x1
Zn 0.2040 0.0023 0.7902 x1
Zn 0.2626 0.6836 0.7347 x1
Zn 0.2978 0.8440 0.2742 x1
Zn 0.2995 0.4166 0.5272 x1
Zn 0.3405 0.2332 0.7996 x1
Zn 0.3470 0.2834 0.2860 x1
Zn 0.3629 0.3195 0.0424 x1
Zn 0.3997 0.9431 0.6413 x1
Zn 0.4017 0.6937 0.5041 x1
Zn 0.4029 0.2100 0.5543 x1
Zn 0.4066 0.6069 0.9655 x1
Zn 0.4369 0.0109 0.9508 x1
Zn 0.4624 0.4636 0.3148 x1
Zn 0.4741 0.8550 0.3221 x1
Zn 0.5101 0.4815 0.7113 x1
Zn 0.5288 0.8578 0.0149 x1
Zn 0.5343 0.2996 0.3413 x1
Zn 0.5411 0.6764 0.1713 x1
Zn 0.5625 0.7124 0.7820 x1
Zn 0.5642 0.1914 0.1134 x1
Zn 0.5975 0.9514 0.8615 x1
Zn 0.5989 0.4163 0.9626 x1
Zn 0.6282 0.0722 0.6296 x1
Zn 0.6775 0.6203 0.4063 x1
Zn 0.7733 0.2190 0.9695 x1
Zn 0.8019 0.3928 0.1989 x1
Zn 0.8024 0.4007 0.7768 x1
Zn 0.8252 0.9563 0.6393 x1
Zn 0.8346 0.8222 0.1150 x1
Zn 0.8621 0.7127 0.2868 x1
Zn 0.8928 0.4738 0.3370 x1
Zn 0.8952 0.6721 0.5901 x1
Zn 0.9180 0.8253 0.4256 x1
Zn 0.9480 0.6496 0.9406 x1
Zn 0.9512 0.1528 0.6587 x1
Zn 0.9524 0.6054 0.7622 x1
Zn 0.9882 0.3976 0.9887 x1
S 0.0042 0.9834 0.4136 x1
S 0.0119 0.8310 0.9380 x1
S 0.0331 0.0722 0.8141 x1
S 0.0623 0.5323 0.2861 x1
S 0.0767 0.7321 0.4732 x1
S 0.1086 0.8929 0.6646 x1
S 0.1332 0.6233 0.9971 x1
S 0.1393 0.4726 0.9426 x1
S 0.1399 0.8172 0.1915 x1
S 0.1516 0.0940 0.2194 x1
S 0.1592 0.0717 0.0664 x1
S 0.1628 0.5087 0.5828 x1
S 0.1714 0.2581 0.8653 x1
S 0.2429 0.3440 0.1610 x1
S 0.2733 0.8933 0.9009 x1
S 0.2759 0.9801 0.4082 x1
S 0.2822 0.2621 0.4438 x1
S 0.3074 0.7885 0.6093 x1
S 0.3132 0.0901 0.6892 x1
S 0.3413 0.5552 0.4135 x1
S 0.3968 0.3512 0.6734 x1
S 0.4092 0.6134 0.7980 x1
S 0.4131 0.7382 0.0785 x1
S 0.4193 0.9586 0.4665 x1
S 0.4333 0.1947 0.9470 x1
S 0.4595 0.4665 0.0410 x1
S 0.4665 0.1628 0.2441 x1
S 0.5559 0.1480 0.5000 x1
S 0.5644 0.9274 0.6939 x1
S 0.5767 0.7046 0.5208 x1
S 0.6067 0.5566 0.2614 x1
S 0.6133 0.6177 0.6426 x1
S 0.6375 0.2840 0.4768 x1
S 0.6459 0.8640 0.3012 x1
S 0.6521 0.0480 0.0926 x1
S 0.6521 0.7890 0.9072 x1
S 0.6551 0.4676 0.8162 x1
S 0.6574 0.8127 0.1523 x1
S 0.6844 0.3208 0.0750 x1
S 0.7197 0.0557 0.9555 x1
S 0.7813 0.1046 0.7059 x1
S 0.8027 0.8141 0.5515 x1
S 0.8194 0.5520 0.4736 x1
S 0.8842 0.6547 0.1104 x1
S 0.8880 0.2962 0.8757 x1
S 0.8993 0.9803 0.1358 x1
S 0.9472 0.4263 0.6844 x1
S 0.9786 0.2921 0.1149 x1
S 0.9794 0.9410 0.7333 x1
S 0.9991 0.3028 0.3967 x1



[3]
Density functional theory data (PBE-GGA) for ZnS after structural relaxation.

a = 3.8530 Å, b = 3.8530 Å, c = 63.0248 Å
α = 90.00°, β = 90.00°, γ = 120.00°
Space group P3m1 (No. 156)
Unique sites:
Zn 0.0000 0.0000 0.0000 x1
Zn 0.0000 0.0000 0.1000 x1
Zn 0.0000 0.0000 0.2000 x1
Zn 0.0000 0.0000 0.4000 x1
Zn 0.0000 0.0000 0.5500 x1
Zn 0.0000 0.0000 0.7000 x1
Zn 0.0000 0.0000 0.8500 x1
Zn 0.3333 0.6667 0.1500 x1
Zn 0.3333 0.6667 0.3000 x1
Zn 0.3333 0.6667 0.4500 x1
Zn 0.3333 0.6667 0.6500 x1
Zn 0.3333 0.6667 0.7500 x1
Zn 0.3333 0.6667 0.9500 x1
Zn 0.6667 0.3333 0.0500 x1
Zn 0.6667 0.3333 0.2500 x1
Zn 0.6667 0.3333 0.3500 x1
Zn 0.6667 0.3333 0.5000 x1
Zn 0.6667 0.3333 0.6000 x1
Zn 0.6667 0.3333 0.8000 x1
Zn 0.6667 0.3333 0.9000 x1
S 0.0000 0.0000 0.0374 x1
S 0.0000 0.0000 0.1374 x1
S 0.0000 0.0000 0.2375 x1
S 0.0000 0.0000 0.4375 x1
S 0.0000 0.0000 0.5875 x1
S 0.0000 0.0000 0.7375 x1
S 0.0000 0.0000 0.8875 x1
S 0.3333 0.6667 0.1875 x1
S 0.3333 0.6667 0.3375 x1
S 0.3333 0.6667 0.4875 x1
S 0.3333 0.6667 0.6874 x1
S 0.3333 0.6667 0.7875 x1
S 0.3333 0.6667 0.9875 x1
S 0.6667 0.3333 0.0875 x1
S 0.6667 0.3333 0.2874 x1
S 0.6667 0.3333 0.3875 x1
S 0.6667 0.3333 0.5374 x1
S 0.6667 0.3333 0.6375 x1
S 0.6667 0.3333 0.8374 x1
S 0.6667 0.3333 0.9375 x1



[4]
Density functional theory data (PBE-GGA) for ZnS after structural relaxation.

a = 12.9568 Å, b = 13.5301 Å, c = 13.5835 Å
α = 91.61°, β = 95.61°, γ = 93.04°
Space group P1 (No. 1)
Unique sites:
Zn 0.0000 0.0000 0.0000 x1
Zn 0.9998 0.0590 0.2844 x1
Zn 0.0030 0.2079 0.9063 x1
Zn 0.0063 0.5708 0.2771 x1
Zn 0.0356 0.0350 0.6744 x1
Zn 0.0598 0.4557 0.7668 x1
Zn 0.0703 0.8659 0.1081 x1
Zn 0.0888 0.1775 0.5539 x1
Zn 0.1324 0.7398 0.8754 x1
Zn 0.1838 0.3987 0.3452 x1
Zn 0.1861 0.1317 0.1759 x1
Zn 0.2126 0.9203 0.4062 x1
Zn 0.2542 0.6030 0.0208 x1
Zn 0.2642 0.8117 0.5436 x1
Zn 0.2985 0.1382 0.4147 x1
Zn 0.3179 0.4874 0.8038 x1
Zn 0.3580 0.4664 0.4148 x1
Zn 0.3915 0.6325 0.5635 x1
Zn 0.3924 0.7092 0.1113 x1
Zn 0.3929 0.2234 0.8742 x1
Zn 0.4218 0.9864 0.6652 x1
Zn 0.4333 0.2625 0.2698 x1
Zn 0.4334 0.9282 0.9553 x1
Zn 0.4385 0.7506 0.8001 x1
Zn 0.4405 0.5288 0.0476 x1
Zn 0.4854 0.1614 0.7292 x1
Zn 0.5072 0.0455 0.4131 x1
Zn 0.5312 0.6994 0.3675 x1
Zn 0.5418 0.3381 0.8235 x1
Zn 0.5529 0.1343 0.0598 x1
Zn 0.5922 0.0113 0.7756 x1
Zn 0.5929 0.4716 0.3593 x1
Zn 0.6074 0.5488 0.7315 x1
Zn 0.6139 0.8189 0.1355 x1
Zn 0.6671 0.2391 0.2955 x1
Zn 0.6912 0.7405 0.9259 x1
Zn 0.7018 0.2777 0.0277 x1
Zn 0.7070 0.8601 0.4649 x1
Zn 0.7691 0.3825 0.7748 x1
Zn 0.7699 0.0555 0.8378 x1
Zn 0.7889 0.6623 0.2451 x1
Zn 0.8038 0.4403 0.1876 x1
Zn 0.8721 0.1384 0.1573 x1
Zn 0.8889 0.9460 0.1387 x1
Zn 0.8939 0.3959 0.3964 x1
Zn 0.9011 0.6364 0.8176 x1
Zn 0.9071 0.7942 0.4104 x1
Zn 0.9412 0.5786 0.9828 x1
Zn 0.9581 0.2474 0.6437 x1
Zn 0.9592 0.8684 0.6500 x1
S 0.0302 0.1702 0.0699 x1
S 0.0512 0.4800 0.4105 x1
S 0.1268 0.7218 0.0474 x1
S 0.1336 0.1921 0.3946 x1
S 0.1467 0.9739 0.2434 x1
S 0.1784 0.5667 0.8610 x1
S 0.1824 0.3852 0.1740 x1
S 0.2037 0.3688 0.7016 x1
S 0.2094 0.2449 0.7920 x1
S 0.2125 0.1198 0.7008 x1
S 0.2266 0.6503 0.5147 x1
S 0.2599 0.9019 0.7014 x1
S 0.2849 0.2751 0.1569 x1
S 0.2903 0.8326 0.8391 x1
S 0.3868 0.6338 0.2654 x1
S 0.3907 0.0899 0.2840 x1
S 0.3940 0.0920 0.9831 x1
S 0.4116 0.4016 0.9237 x1
S 0.4257 0.1146 0.5451 x1
S 0.4353 0.5974 0.7333 x1
S 0.4466 0.8701 0.1157 x1
S 0.4550 0.5026 0.2240 x1
S 0.4628 0.8350 0.5840 x1
S 0.5251 0.8668 0.4529 x1
S 0.5337 0.5794 0.4863 x1
S 0.5562 0.3110 0.3985 x1
S 0.5620 0.8627 0.8646 x1
S 0.5726 0.2845 0.1431 x1
S 0.5957 0.6420 0.0436 x1
S 0.6041 0.3874 0.6775 x1
S 0.6622 0.0608 0.3305 x1
S 0.6723 0.7740 0.2982 x1
S 0.6968 0.3973 0.9224 x1
S 0.7250 0.6734 0.7772 x1
S 0.7305 0.1132 0.0272 x1
S 0.7441 0.5852 0.0884 x1
S 0.7548 0.8569 0.0526 x1
S 0.7661 0.5147 0.3408 x1
S 0.7784 0.0332 0.4466 x1
S 0.8240 0.4725 0.6271 x1
S 0.8303 0.7722 0.5492 x1
S 0.8353 0.2801 0.2584 x1
S 0.8372 0.3392 0.5462 x1
S 0.9150 0.9775 0.4069 x1
S 0.9428 0.3244 0.8006 x1
S 0.9528 0.0517 0.8392 x1
S 0.9599 0.4886 0.1271 x1
S 0.9613 0.7351 0.2708 x1
S 0.9631 0.5530 0.6581 x1
S 0.9851 0.7915 0.7988 x1



[5]
Density functional theory data (PBE-GGA) for ZnS after structural relaxation.

a = 3.8551 Å, b = 3.8551 Å, c = 75.4594 Å
α = 90.00°, β = 90.00°, γ = 120.00°
Space group R3m (No. 160, hexagonal axes)
Unique sites:
Zn 0.0000 0.0000 0.0000 x3
Zn 0.0000 0.0000 0.0833 x3
Zn 0.0000 0.0000 0.1667 x3
Zn 0.0000 0.0000 0.2917 x3
Zn 0.0000 0.0000 0.4583 x3
Zn 0.0000 0.0000 0.5833 x3
Zn 0.0000 0.0000 0.7083 x3
Zn 0.0000 0.0000 0.8750 x3
S 0.0000 0.0000 0.0312 x3
S 0.0000 0.0000 0.1145 x3
S 0.0000 0.0000 0.1979 x3
S 0.0000 0.0000 0.3229 x3
S 0.0000 0.0000 0.4896 x3
S 0.0000 0.0000 0.6146 x3
S 0.0000 0.0000 0.7396 x3
S 0.0000 0.0000 0.9062 x3



[6]
Density functional theory data (PBE-GGA) for ZnS after structural relaxation.

a = 3.8539 Å, b = 3.8539 Å, c = 75.5605 Å
α = 90.00°, β = 90.00°, γ = 120.00°
Space group P3m1 (No. 156)
Unique sites:
Zn 0.0000 0.0000 0.0000 x1
Zn 0.0000 0.0000 0.1250 x1
Zn 0.0000 0.0000 0.2083 x1
Zn 0.0000 0.0000 0.3750 x1
Zn 0.0000 0.0000 0.5000 x1
Zn 0.0000 0.0000 0.6250 x1
Zn 0.0000 0.0000 0.7500 x1
Zn 0.0000 0.0000 0.8750 x1
Zn 0.3333 0.6667 0.0417 x1
Zn 0.3333 0.6667 0.1667 x1
Zn 0.3333 0.6667 0.2917 x1
Zn 0.3333 0.6667 0.4167 x1
Zn 0.3333 0.6667 0.5417 x1
Zn 0.3333 0.6667 0.6667 x1
Zn 0.3333 0.6667 0.7917 x1
Zn 0.3333 0.6667 0.9167 x1
Zn 0.6667 0.3333 0.0833 x1
Zn 0.6667 0.3333 0.2500 x1
Zn 0.6667 0.3333 0.3333 x1
Zn 0.6667 0.3333 0.4583 x1
Zn 0.6667 0.3333 0.5833 x1
Zn 0.6667 0.3333 0.7083 x1
Zn 0.6667 0.3333 0.8333 x1
Zn 0.6667 0.3333 0.9583 x1
S 0.0000 0.0000 0.0312 x1
S 0.0000 0.0000 0.1562 x1
S 0.0000 0.0000 0.2396 x1
S 0.0000 0.0000 0.4062 x1
S 0.0000 0.0000 0.5312 x1
S 0.0000 0.0000 0.6562 x1
S 0.0000 0.0000 0.7812 x1
S 0.0000 0.0000 0.9062 x1
S 0.3333 0.6667 0.0729 x1
S 0.3333 0.6667 0.1979 x1
S 0.3333 0.6667 0.3229 x1
S 0.3333 0.6667 0.4479 x1
S 0.3333 0.6667 0.5729 x1
S 0.3333 0.6667 0.6979 x1
S 0.3333 0.6667 0.8229 x1
S 0.3333 0.6667 0.9479 x1
S 0.6667 0.3333 0.1146 x1
S 0.6667 0.3333 0.2812 x1
S 0.6667 0.3333 0.3646 x1
S 0.6667 0.3333 0.4896 x1
S 0.6667 0.3333 0.6146 x1
S 0.6667 0.3333 0.7396 x1
S 0.6667 0.3333 0.8646 x1
S 0.6667 0.3333 0.9896 x1



Energy of formation per entry: -1.06 -0.61 -1.06 -0.58 -1.05 -1.06 eV per atom